Record 1
The following is a r²SCAN calculation of a relaxed Lu2PdRu crystal, from Materials Project.

Values from the calculation:
Crystal system   cubic
Magnetic moment   0.000 μB/atom
E_tot   -511.2 eV/cell

a = 6.701 Å, b = 6.701 Å, c = 6.701 Å
α = 90.00°, β = 90.00°, γ = 90.00°
Space group Fm-3m (No. 225)
Symmetry-distinct sites (fractional):
Lu: 0.250 0.250 0.250
Pd: 0.000 0.000 0.000
Ru: 0.000 0.000 0.500

=====

Record 2
The following is a r²SCAN calculation of a relaxed LuSbPd2 crystal, from Materials Project.

Values from the calculation:
Crystal system   cubic
Magnetic moment   0.000 μB/atom
E_tot   -453.2 eV/cell

a = 6.685 Å, b = 6.685 Å, c = 6.685 Å
α = 90.00°, β = 90.00°, γ = 90.00°
Space group Fm-3m (No. 225)
Symmetry-distinct sites (fractional):
Lu: 0.000 0.000 0.000
Sb: 0.000 0.000 0.500
Pd: 0.250 0.250 0.250

=====

Record 3
The following is a r²SCAN calculation of a relaxed LuSiPd2 crystal, from Materials Project.

Values from the calculation:
Crystal system   orthorhombic
Magnetic moment   0.000 μB/atom
E_tot   -387.5 eV/cell

a = 7.160 Å, b = 6.936 Å, c = 5.430 Å
α = 90.00°, β = 90.00°, γ = 90.00°
Space group Pnma (No. 62)
Symmetry-distinct sites (fractional):
Lu: 0.027 0.250 0.141
Si: 0.121 0.750 0.360
Pd: 0.180 0.051 0.593

=====

Record 4
The following is a r²SCAN calculation of a relaxed LuSnPd2 crystal, from Materials Project.

Values from the calculation:
Crystal system   cubic
Magnetic moment   0.000 μB/atom
E_tot   -449.7 eV/cell

a = 6.664 Å, b = 6.664 Å, c = 6.664 Å
α = 90.00°, β = 90.00°, γ = 90.00°
Space group Fm-3m (No. 225)
Symmetry-distinct sites (fractional):
Lu: 0.000 0.000 0.000
Sn: 0.000 0.000 0.500
Pd: 0.250 0.250 0.250

=====

Record 5
The following is a r²SCAN calculation of a relaxed LuSnPd crystal, from Materials Project.

Values from the calculation:
Crystal system   hexagonal
Magnetic moment   0.000 μB/atom
E_tot   -266.0 eV/cell

a = 7.5070 Å, b = 7.5070 Å, c = 3.8286 Å
α = 90.00°, β = 90.00°, γ = 120.00°
Space group P-62m (No. 189)
Symmetry-distinct sites (fractional):
Lu: 0.0000 0.5982 0.0000
Sn: 0.0000 0.2646 0.5000
Pd: 0.0000 0.0000 0.0000
Pd: 0.3333 0.6667 0.5000

=====

Record 6
The following is a r²SCAN calculation of a relaxed TmLuPd2 crystal, from Materials Project.

Values from the calculation:
Crystal system   cubic
Magnetic moment   0.000 μB/atom
E_tot   -492.3 eV/cell

a = 6.848 Å, b = 6.848 Å, c = 6.848 Å
α = 90.00°, β = 90.00°, γ = 90.00°
Space group Fm-3m (No. 225)
Symmetry-distinct sites (fractional):
Tm: 0.000 0.000 0.000
Lu: 0.000 0.000 0.500
Pd: 0.250 0.250 0.250

=====

Record 7
The following is a r²SCAN calculation of a relaxed YbLuPd2 crystal, from Materials Project.

Values from the calculation:
Crystal system   cubic
Magnetic moment   0.000 μB/atom
E_tot   -498.1 eV/cell

a = 6.833 Å, b = 6.833 Å, c = 6.833 Å
α = 90.00°, β = 90.00°, γ = 90.00°
Space group Fm-3m (No. 225)
Symmetry-distinct sites (fractional):
Yb: 0.000 0.000 0.000
Lu: 0.000 0.000 0.500
Pd: 0.250 0.250 0.250

=====

Record 8
The following is a r²SCAN calculation of a relaxed PmLuZn2 crystal, from Materials Project.

Values from the calculation:
Crystal system   cubic
Magnetic moment   0.002 μB/atom
E_tot   -347.6 eV/cell

a = 7.114 Å, b = 7.114 Å, c = 7.114 Å
α = 90.00°, β = 90.00°, γ = 90.00°
Space group Fm-3m (No. 225)
Symmetry-distinct sites (fractional):
Pm: 0.000 0.000 0.000
Lu: 0.000 0.000 0.500
Zn: 0.250 0.250 0.250

=====

Record 9
The following is a r²SCAN calculation of a relaxed PrLu3 crystal, from Materials Project.

Values from the calculation:
Crystal system   hexagonal
Magnetic moment   0.515 μB/atom
E_tot   -287.2 eV/cell

a = 7.1638 Å, b = 7.1638 Å, c = 5.6785 Å
α = 90.00°, β = 90.00°, γ = 120.00°
Space group P6_3/mmc (No. 194)
Symmetry-distinct sites (fractional):
Pr: 0.3333 0.6667 0.2500
Lu: 0.1634 0.3268 0.7500

=====

Record 10
The following is a r²SCAN calculation of a relaxed LuPt crystal, from Materials Project.

Values from the calculation:
Crystal system   orthorhombic
Magnetic moment   0.000 μB/atom
E_tot   -369.9 eV/cell

a = 6.770 Å, b = 4.450 Å, c = 5.440 Å
α = 90.00°, β = 90.00°, γ = 90.00°
Space group Pnma (No. 62)
Symmetry-distinct sites (fractional):
Lu: 0.182 0.250 0.142
Pt: 0.043 0.250 0.658

=====

Record 11
The following is a r²SCAN calculation of a relaxed LuPt3 crystal, from Materials Project.

Values from the calculation:
Crystal system   cubic
Magnetic moment   0.000 μB/atom
E_tot   -197.3 eV/cell

a = 4.046 Å, b = 4.046 Å, c = 4.046 Å
α = 90.00°, β = 90.00°, γ = 90.00°
Space group Pm-3m (No. 221)
Symmetry-distinct sites (fractional):
Lu: 0.000 0.000 0.000
Pt: 0.000 0.500 0.500

=====

Record 12
The following is a r²SCAN calculation of a relaxed Lu3Pt4 crystal, from Materials Project.

Values from the calculation:
Crystal system   triclinic
Magnetic moment   0.000 μB/atom
E_tot   -660.0 eV/cell

a = 5.636 Å, b = 7.641 Å, c = 7.651 Å
α = 114.13°, β = 104.25°, γ = 104.19°
Space group P-1 (No. 2)
Symmetry-distinct sites (fractional):
Lu: 0.025 0.247 0.120
Lu: 0.277 0.372 0.753
Lu: 0.405 0.880 0.628
Pt: 0.000 0.500 0.500
Pt: 0.064 0.014 0.334
Pt: 0.230 0.666 0.180
Pt: 0.450 0.180 0.014
Pt: 0.500 0.500 0.500